# 1
A plane-wave DFT calculation with r2SCAN was carried out for a geometry-optimized KNa2CoF6 structure.

abc: 5.971 5.971 5.971
angles: 60.00 60.00 60.00
Element x y z (fractional)
K  0.500  0.500  0.500
Na  0.250  0.250  0.250
Na  0.750  0.750  0.750
Co  0.000  0.000  0.000
F  0.217  0.783  0.217
F  0.783  0.783  0.217
F  0.783  0.217  0.783
F  0.783  0.217  0.217
F  0.217  0.783  0.783
F  0.217  0.217  0.783

## Properties
electronic total energy: -7.037 eV per atom
formation energy: -2.5234 eV/atom

# 2
A plane-wave DFT calculation with r2SCAN was carried out for a geometry-optimized KRb2CoF6 structure.

abc: 6.122 6.122 6.122
angles: 60.00 60.00 60.00
Element x y z (fractional)
K  0.500  0.500  0.500
Rb  0.750  0.750  0.750
Rb  0.250  0.250  0.250
Co  0.000  0.000  0.000
F  0.787  0.213  0.213
F  0.787  0.787  0.213
F  0.213  0.213  0.787
F  0.213  0.787  0.787
F  0.787  0.213  0.787
F  0.213  0.787  0.213

## Properties
electronic total energy: -9.327 eV per atom
formation energy: -2.7403 eV/atom

# 3
A plane-wave DFT calculation with r2SCAN was carried out for a geometry-optimized LiCo5O7F structure.

abc: 5.702 5.699 9.780
angles: 89.98 73.06 120.01
Element x y z (fractional)
Li  0.990  0.995  0.013
Li  0.990  0.495  0.513
Co  0.755  0.378  0.867
Co  0.380  0.937  0.683
Co  0.380  0.437  0.183
Co  0.874  0.937  0.683
Co  0.874  0.437  0.183
Co  0.755  0.878  0.367
Co  0.374  0.687  0.939
Co  0.374  0.187  0.439
Co  0.380  0.443  0.683
Co  0.380  0.943  0.183
O  0.615  0.807  0.578
O  0.614  0.307  0.078
O  0.166  0.583  0.805
O  0.166  0.083  0.305
O  0.612  0.583  0.805
O  0.612  0.083  0.305
O  0.613  0.030  0.804
O  0.613  0.530  0.304
O  0.139  0.347  0.070
O  0.139  0.847  0.570
O  0.139  0.792  0.070
O  0.139  0.292  0.570
O  0.583  0.792  0.070
O  0.583  0.292  0.570
F  0.130  0.565  0.305
F  0.130  0.065  0.805

## Properties
electronic total energy: -9.649 eV per atom
formation energy: -1.5426 eV/atom

# 4
A plane-wave DFT calculation with r2SCAN was carried out for a geometry-optimized Li5CoOF5 structure.

abc: 2.847 12.569 5.717
angles: 76.85 90.00 90.00
Element x y z (fractional)
Li  0.000  0.667  0.167
Li  0.000  0.667  0.667
Li  0.001  0.992  0.504
Li  0.001  0.992  0.004
Li  0.999  0.341  0.329
Li  0.999  0.341  0.829
Li  0.500  0.507  0.996
Li  0.500  0.507  0.496
Li  0.500  0.827  0.838
Li  0.500  0.827  0.337
Co  0.500  0.167  0.167
Co  0.500  0.167  0.667
O  0.000  0.168  0.416
O  0.000  0.166  0.917
F  0.500  0.667  0.917
F  0.500  0.667  0.417
F  0.500  0.987  0.757
F  0.500  0.987  0.256
F  0.500  0.346  0.077
F  0.500  0.346  0.576
F  0.000  0.506  0.247
F  0.000  0.505  0.747
F  0.000  0.828  0.087
F  0.000  0.828  0.587

## Properties
electronic total energy: -6.708 eV per atom
formation energy: -2.8103 eV/atom

# 5
A plane-wave DFT calculation with r2SCAN was carried out for a geometry-optimized MgCoF6 structure.

abc: 5.295 5.295 5.295
angles: 56.58 56.58 56.58
Element x y z (fractional)
Mg  0.500  0.500  0.500
Co  0.000  0.000  0.000
F  0.646  0.874  0.240
F  0.874  0.240  0.646
F  0.760  0.354  0.126
F  0.126  0.760  0.354
F  0.354  0.126  0.760
F  0.240  0.646  0.874

## Properties
electronic total energy: -7.043 eV per atom
formation energy: -2.5234 eV/atom

# 6
A plane-wave DFT calculation with r2SCAN was carried out for a geometry-optimized NaCoF3 structure.

abc: 5.181 5.181 7.436
angles: 90.00 90.00 145.85
Element x y z (fractional)
Na  0.747  0.253  0.250
Na  0.253  0.747  0.750
Co  0.000  0.000  0.500
Co  0.000  0.000  0.000
F  0.078  0.922  0.250
F  0.922  0.078  0.750
F  0.369  0.631  0.439
F  0.631  0.369  0.561
F  0.369  0.631  0.061
F  0.631  0.369  0.939

## Properties
electronic total energy: -7.770 eV per atom
formation energy: -2.5346 eV/atom

# 7
A plane-wave DFT calculation with r2SCAN was carried out for a geometry-optimized NaCoF3 structure.

abc: 5.369 5.575 7.704
angles: 90.00 90.00 90.00
Element x y z (fractional)
Na  0.018  0.939  0.750
Na  0.518  0.561  0.250
Na  0.482  0.439  0.750
Na  0.982  0.061  0.250
Co  0.500  0.000  0.500
Co  0.000  0.500  0.500
Co  0.000  0.500  0.000
Co  0.500  0.000  0.000
F  0.692  0.303  0.441
F  0.192  0.197  0.559
F  0.808  0.803  0.059
F  0.308  0.697  0.941
F  0.308  0.697  0.559
F  0.808  0.803  0.441
F  0.192  0.197  0.941
F  0.692  0.303  0.059
F  0.113  0.460  0.250
F  0.613  0.040  0.750
F  0.387  0.960  0.250
F  0.887  0.540  0.750

## Properties
electronic total energy: -7.775 eV per atom
formation energy: -2.5397 eV/atom

# 8
A plane-wave DFT calculation with r2SCAN was carried out for a geometry-optimized CoOF structure.

abc: 2.890 4.532 18.032
angles: 82.97 90.00 90.00
Element x y z (fractional)
Co  0.000  0.936  0.997
Co  0.000  0.973  0.249
Co  0.000  0.011  0.501
Co  0.000  0.046  0.752
Co  0.500  0.455  0.123
Co  0.500  0.493  0.375
Co  0.500  0.528  0.627
Co  0.500  0.555  0.875
O  0.500  0.800  0.948
O  0.000  0.627  0.070
O  0.000  0.718  0.577
O  0.000  0.757  0.830
O  0.000  0.681  0.325
O  0.000  0.265  0.172
O  0.000  0.303  0.424
O  0.000  0.341  0.677
F  0.500  0.771  0.199
F  0.500  0.809  0.452
F  0.500  0.847  0.704
F  0.000  0.314  0.925
F  0.500  0.124  0.046
F  0.500  0.174  0.297
F  0.500  0.212  0.550
F  0.500  0.263  0.803

## Properties
electronic total energy: -9.021 eV per atom
formation energy: -1.5769 eV/atom

# 9
A plane-wave DFT calculation with r2SCAN was carried out for a geometry-optimized Rb2CoF6 structure.

abc: 5.965 5.965 5.880
angles: 60.47 60.47 59.05
Element x y z (fractional)
Rb  0.750  0.750  0.750
Rb  0.250  0.250  0.250
Co  0.000  0.000  0.000
F  0.214  0.786  0.786
F  0.214  0.786  0.214
F  0.786  0.214  0.786
F  0.786  0.214  0.214
F  0.787  0.787  0.213
F  0.213  0.213  0.787

## Properties
electronic total energy: -9.168 eV per atom
formation energy: -2.5177 eV/atom

# 10
A plane-wave DFT calculation with r2SCAN was carried out for a geometry-optimized Rb3CoF6 structure.

abc: 6.269 6.269 6.269
angles: 60.00 60.00 60.00
Element x y z (fractional)
Rb  0.250  0.250  0.250
Rb  0.750  0.750  0.750
Rb  0.500  0.500  0.500
Co  0.000  0.000  0.000
F  0.792  0.208  0.208
F  0.208  0.792  0.792
F  0.208  0.792  0.208
F  0.792  0.208  0.792
F  0.208  0.208  0.792
F  0.792  0.792  0.208

## Properties
electronic total energy: -10.080 eV per atom
formation energy: -2.7018 eV/atom

# 11
A plane-wave DFT calculation with r2SCAN was carried out for a geometry-optimized CoSnF6 structure.

abc: 5.466 5.461 5.459
angles: 56.92 56.93 56.98
Element x y z (fractional)
Co  0.500  0.500  0.500
Sn  0.000  0.000  0.000
F  0.246  0.881  0.624
F  0.881  0.624  0.245
F  0.375  0.755  0.119
F  0.119  0.376  0.755
F  0.754  0.119  0.376
F  0.625  0.245  0.881

## Properties
electronic total energy: -9.608 eV per atom
formation energy: -2.5159 eV/atom

# 12
A plane-wave DFT calculation with r2SCAN was carried out for a geometry-optimized Fe13Co3 structure.

abc: 5.693 5.693 5.691
angles: 90.00 90.00 90.00
Element x y z (fractional)
Fe  0.000  0.500  0.500
Fe  0.248  0.752  0.752
Fe  0.752  0.248  0.248
Fe  0.752  0.248  0.752
Fe  0.752  0.752  0.752
Fe  0.500  0.500  0.500
Fe  0.248  0.752  0.248
Fe  0.248  0.248  0.752
Fe  0.248  0.248  0.248
Fe  0.500  0.000  0.500
Fe  0.000  0.500  0.000
Fe  0.752  0.752  0.248
Fe  0.500  0.000  0.000
Co  0.500  0.500  0.000
Co  0.000  0.000  0.500
Co  0.000  0.000  0.000

## Properties
electronic total energy: -14.283 eV per atom
formation energy: -0.0905 eV/atom

Question: Which of these has the lowest electronic total energy?
Answer: Fe13Co3